DFT (r2SCAN) results for a geometry-optimized AlH18RuN6F6 structure.

```
AlH18RuN6F6
1.0
9.8878 0.0000 0.0000
0.0000 9.8878 0.0000
0.0000 0.0000 9.8878
F N H Al Ru
24 24 72 4 4
Direct
0.1104 0.1340 0.9400
0.5600 0.8896 0.6340
0.0600 0.8896 0.8660
0.3896 0.8660 0.4400
0.1340 0.9400 0.1104
0.6104 0.1340 0.5600
0.9400 0.1104 0.1340
0.1104 0.3660 0.4400
0.3660 0.4400 0.1104
0.1340 0.5600 0.6104
0.3660 0.0600 0.6104
0.8896 0.8660 0.0600
0.0600 0.6104 0.3660
0.8896 0.6340 0.5600
0.6104 0.3660 0.0600
0.8660 0.0600 0.8896
0.9400 0.3896 0.6340
0.8660 0.4400 0.3896
0.5600 0.6104 0.1340
0.3896 0.6340 0.9400
0.6340 0.9400 0.3896
0.6340 0.5600 0.8896
0.4400 0.3896 0.8660
0.4400 0.1104 0.3660
0.6463 0.4214 0.6336
0.9214 0.6336 0.8537
0.3664 0.1463 0.0786
0.3664 0.3537 0.5786
0.4214 0.6336 0.6463
0.5786 0.1336 0.8537
0.1336 0.6463 0.0786
0.6336 0.8537 0.9214
0.6463 0.0786 0.1336
0.4214 0.8664 0.1463
0.8664 0.1463 0.4214
0.5786 0.3664 0.3537
0.6336 0.6463 0.4214
0.3537 0.9214 0.8664
0.9214 0.8664 0.3537
0.8537 0.9214 0.6336
0.8537 0.5786 0.1336
0.1463 0.0786 0.3664
0.8664 0.3537 0.9214
0.0786 0.3664 0.1463
0.0786 0.1336 0.6463
0.3537 0.5786 0.3664
0.1336 0.8537 0.5786
0.1463 0.4214 0.8664
0.3919 0.2436 0.0549
0.2304 0.6313 0.0445
0.7696 0.3687 0.9555
0.6313 0.4555 0.7304
0.0549 0.3919 0.2436
0.9555 0.7696 0.3687
0.0445 0.2696 0.1313
0.7564 0.5549 0.1081
0.3180 0.8675 0.1405
0.5445 0.2304 0.8687
0.7436 0.0549 0.1081
0.1325 0.6405 0.1820
0.8919 0.2436 0.4451
0.8180 0.8675 0.3595
0.3687 0.5445 0.2696
0.4451 0.6081 0.7436
0.9451 0.8919 0.2564
0.0549 0.1081 0.7436
0.6081 0.7564 0.9451
0.7696 0.1313 0.4555
0.4451 0.8919 0.2436
0.5549 0.3919 0.2564
0.4555 0.7304 0.6313
0.8919 0.2564 0.9451
0.1313 0.0445 0.2696
0.1313 0.4555 0.7696
0.9555 0.7304 0.8687
0.6313 0.0445 0.2304
0.6405 0.1820 0.1325
0.2304 0.8687 0.5445
0.8595 0.6820 0.1325
0.3919 0.2564 0.5549
0.2696 0.1313 0.0445
0.3687 0.9555 0.7696
0.3595 0.6820 0.3675
0.6325 0.8595 0.8180
0.2436 0.0549 0.3919
0.6820 0.1325 0.8595
0.7304 0.8687 0.9555
0.1820 0.3675 0.1405
0.5445 0.2696 0.3687
0.6325 0.6405 0.3180
0.7304 0.6313 0.4555
0.6405 0.3180 0.6325
0.3675 0.1405 0.1820
0.8675 0.1405 0.3180
0.2564 0.9451 0.8919
0.1820 0.1325 0.6405
0.1081 0.7436 0.0549
0.8687 0.5445 0.2304
0.5549 0.1081 0.7564
0.8595 0.8180 0.6325
0.6820 0.3675 0.3595
0.4555 0.7696 0.1313
0.2436 0.4451 0.8919
0.8675 0.3595 0.8180
0.7436 0.4451 0.6081
0.1081 0.7564 0.5549
0.6081 0.7436 0.4451
0.3675 0.3595 0.6820
0.8180 0.6325 0.8595
0.2564 0.5549 0.3919
0.3180 0.6325 0.6405
0.8687 0.9555 0.7304
0.9451 0.6081 0.7564
0.1325 0.8595 0.6820
0.1405 0.1820 0.3675
0.0445 0.2304 0.6313
0.1405 0.3180 0.8675
0.3595 0.8180 0.8675
0.2696 0.3687 0.5445
0.7564 0.9451 0.6081
0.5000 0.0000 0.5000
0.0000 0.5000 0.5000
0.0000 0.0000 0.0000
0.5000 0.5000 0.0000
0.5000 0.5000 0.5000
0.5000 0.0000 0.0000
0.0000 0.0000 0.5000
0.0000 0.5000 0.0000
```

Total energy, eV/atom: -6.370
ρ, kg/m³: 2365
Space-group type: Pa-3 (205)

DFT (r2SCAN) results for a geometry-optimized TbSn3 structure.

```
TbSn3
1.0
4.6980 0.0000 0.0000
0.0000 4.6980 0.0000
0.0000 0.0000 4.6980
Sn Tb
3 1
Direct
0.5000 0.5000 0.0000
0.0000 0.5000 0.5000
0.5000 0.0000 0.5000
0.0000 0.0000 0.0000
```

Total energy, eV/atom: -26.792
ρ, kg/m³: 8249
Space-group type: Pm-3m (221)

DFT (r2SCAN) results for a geometry-optimized InSn2Te3 structure.

```
InSn2Te3
1.0
-2.2142 3.8711 0.0189
-1.9621 -3.6835 -1.5720
-3.8424 -2.2469 10.0608
Sn Te In
2 3 1
Direct
0.3333 0.6667 0.6687
0.6667 0.3333 0.3313
0.3333 0.6667 0.1658
0.0000 0.0000 0.5000
0.6667 0.3333 0.8342
0.0000 0.0000 0.0000
```

Total energy, eV/atom: -25.017
ρ, kg/m³: 6441
Space-group type: P-3m1 (164)

no.,formation enthalpy at 0 K (eV per atom)
1,-1.1237
2,-0.4257
3,-0.2968